# Rb2AlTlBr6

A relaxed structure of Rb2AlTlBr6 (PBE-GGA, the Materials Project).

* uncorrected energy: -30.962 eV for the cell shown
* formation enthalpy at 0 K: -1627 meV/atom

a = 8.0656 Å, b = 8.0656 Å, c = 8.0656 Å
α = 60.00°, β = 60.00°, γ = 60.00°
Last column: nearest neighbours and their distance in Å.
Fractional positions:
Br: 0.7782 0.7782 0.2218  1 Al 2.53
Br: 0.2218 0.7782 0.2218  1 Al 2.53
Br: 0.2218 0.2218 0.7782  1 Al 2.53
Br: 0.7782 0.2218 0.7782  1 Al 2.53
Br: 0.7782 0.2218 0.2218  1 Al 2.53
Rb: 0.2500 0.2500 0.2500  12 Br 4.05
Al: 0.0000 0.0000 0.0000  6 Br 2.53
Br: 0.2218 0.7782 0.7782  1 Al 2.53
Rb: 0.7500 0.7500 0.7500  12 Br 4.05
Tl: 0.5000 0.5000 0.5000  6 Br 3.17


# AgBi2F12

A relaxed structure of AgBi2F12 (PBE-GGA, the Materials Project).

* uncorrected energy: -58.228 eV for the cell shown
* formation enthalpy at 0 K: -2012 meV/atom

a = 5.4165 Å, b = 5.7488 Å, c = 9.2255 Å
α = 104.00°, β = 88.65°, γ = 115.24°
Last column: nearest neighbours and their distance in Å.
Fractional positions:
F: 0.1357 0.2132 0.2916  1 Bi 2.06
F: 0.8643 0.7868 0.7084  1 Bi 2.06
F: 0.3169 0.7631 0.8763  1 Bi 2.02
Bi: 0.7250 0.9825 0.2271  6 F 2.01-2.16
F: 0.2313 0.2408 0.6274  1 Bi 2.15, 1 Ag 2.15
F: 0.7992 0.7495 0.0478  1 Bi 2.01
F: 0.6858 0.2330 0.4334  1 Ag 2.14, 1 Bi 2.16
F: 0.6805 0.2476 0.7775  1 Bi 2.02
F: 0.7687 0.7592 0.3726  1 Bi 2.15, 1 Ag 2.15
Bi: 0.2750 0.0175 0.7729  6 F 2.01-2.16
F: 0.3195 0.7524 0.2225  1 Bi 2.02
Ag: 0.5000 0.5000 0.5000  4 F 2.14-2.15
F: 0.2008 0.2505 0.9522  1 Bi 2.01
F: 0.3142 0.7670 0.5666  1 Ag 2.14, 1 Bi 2.16
F: 0.6831 0.2369 0.1237  1 Bi 2.02


# KNa2Li3Zr2Si12O30

A relaxed structure of KNa2Li3Zr2Si12O30 (PBE-GGA, the Materials Project).

* uncorrected energy: -749.030 eV for the cell shown
* formation enthalpy at 0 K: -3100 meV/atom

a = 10.4672 Å, b = 10.4672 Å, c = 14.2700 Å
α = 90.00°, β = 90.00°, γ = 120.00°
Last column: nearest neighbours and their distance in Å.
Fractional positions:
O: 0.9401 0.7283 0.8694  2 Si 1.64-1.65
O: 0.6616 0.1490 0.6744  1 Si 1.60
O: 0.7283 0.9401 0.3694  2 Si 1.64-1.65
O: 0.2717 0.2118 0.8694  2 Si 1.64-1.65
Li: 0.0000 0.5000 0.2500  4 O 1.95
Si: 0.7620 0.1081 0.3890  4 O 1.60-1.66
Zr: 0.3333 0.6667 0.7500  6 O 2.19
O: 0.3384 0.8510 0.6744  1 Si 1.60
O: 0.2692 0.3999 0.0000  2 Si 1.66
O: 0.5127 0.8510 0.1744  1 Si 1.60
O: 0.0599 0.7882 0.6306  2 Si 1.64-1.65
Li: 0.0000 0.5000 0.7500  4 O 1.95
O: 0.2118 0.2717 0.6306  2 Si 1.64-1.65
Li: 0.5000 0.0000 0.2500  4 O 1.95
O: 0.6616 0.5127 0.8256  1 Si 1.60
Si: 0.6538 0.7620 0.3890  4 O 1.60-1.66
O: 0.4873 0.3384 0.6744  1 Si 1.60
O: 0.2692 0.8693 0.5000  2 Si 1.66
Li: 0.5000 0.5000 0.7500  4 O 1.95
O: 0.3999 0.2692 0.5000  2 Si 1.66
O: 0.6616 0.1490 0.3256  1 Si 1.60
O: 0.3384 0.4873 0.8256  1 Si 1.60
O: 0.2717 0.0599 0.3694  2 Si 1.64-1.65
Si: 0.1081 0.3462 0.6110  4 O 1.60-1.66
O: 0.7283 0.7882 0.8694  2 Si 1.64-1.65
O: 0.1490 0.4873 0.3256  1 Si 1.60
O: 0.8693 0.2692 0.0000  2 Si 1.66
O: 0.1307 0.3999 0.5000  2 Si 1.66
O: 0.8510 0.5127 0.6744  1 Si 1.60
Zr: 0.6667 0.3333 0.7500  6 O 2.19
O: 0.8510 0.3384 0.8256  1 Si 1.60
O: 0.1490 0.6616 0.1744  1 Si 1.60
O: 0.8693 0.6001 0.5000  2 Si 1.66
Si: 0.2380 0.8919 0.3890  4 O 1.60-1.66
Si: 0.2380 0.8919 0.6110  4 O 1.60-1.66
Si: 0.2380 0.3462 0.1110  4 O 1.60-1.66
O: 0.7882 0.7283 0.3694  2 Si 1.64-1.65
O: 0.2118 0.9401 0.8694  2 Si 1.64-1.65
O: 0.0599 0.2717 0.8694  2 Si 1.64-1.65
O: 0.2717 0.0599 0.6306  2 Si 1.64-1.65
Si: 0.3462 0.1081 0.8890  4 O 1.60-1.66
Li: 0.5000 0.0000 0.7500  4 O 1.95
Na: 0.3333 0.6667 0.5000  3 O 2.52
O: 0.2118 0.9401 0.1306  2 Si 1.64-1.65
Si: 0.1081 0.7620 0.1110  4 O 1.60-1.66
O: 0.1490 0.4873 0.6744  1 Si 1.60
Si: 0.3462 0.2380 0.6110  4 O 1.60-1.66
O: 0.3384 0.8510 0.3256  1 Si 1.60
Si: 0.8919 0.2380 0.8890  4 O 1.60-1.66
Si: 0.6538 0.7620 0.6110  4 O 1.60-1.66
O: 0.8510 0.5127 0.3256  1 Si 1.60
Na: 0.6667 0.3333 0.0000  3 O 2.52
O: 0.7308 0.6001 0.0000  2 Si 1.66
O: 0.4873 0.3384 0.3256  1 Si 1.60
O: 0.1490 0.6616 0.8256  1 Si 1.60
O: 0.7283 0.9401 0.6306  2 Si 1.64-1.65
Si: 0.7620 0.6538 0.8890  4 O 1.60-1.66
Si: 0.6538 0.8919 0.1110  4 O 1.60-1.66
Zr: 0.6667 0.3333 0.2500  6 O 2.19
O: 0.7283 0.7882 0.1306  2 Si 1.64-1.65
Si: 0.6538 0.8919 0.8890  4 O 1.60-1.66
Na: 0.6667 0.3333 0.5000  3 O 2.52
O: 0.9401 0.7283 0.1306  2 Si 1.64-1.65
O: 0.1307 0.7308 0.0000  2 Si 1.66
O: 0.3999 0.1307 0.0000  2 Si 1.66
Li: 0.5000 0.5000 0.2500  4 O 1.95
Si: 0.8919 0.6538 0.6110  4 O 1.60-1.66
O: 0.9401 0.2118 0.3694  2 Si 1.64-1.65
O: 0.7882 0.7283 0.6306  2 Si 1.64-1.65
O: 0.6001 0.7308 0.5000  2 Si 1.66
O: 0.7882 0.0599 0.8694  2 Si 1.64-1.65
Si: 0.7620 0.6538 0.1110  4 O 1.60-1.66
K: 0.0000 0.0000 0.7500  12 O 3.10
Si: 0.1081 0.7620 0.8890  4 O 1.60-1.66
O: 0.7882 0.0599 0.1306  2 Si 1.64-1.65
K: 0.0000 0.0000 0.2500  12 O 3.10
O: 0.3384 0.4873 0.1744  1 Si 1.60
Si: 0.3462 0.2380 0.3890  4 O 1.60-1.66
O: 0.4873 0.1490 0.8256  1 Si 1.60
O: 0.8510 0.3384 0.1744  1 Si 1.60
O: 0.6001 0.8693 0.0000  2 Si 1.66
O: 0.6616 0.5127 0.1744  1 Si 1.60
O: 0.2717 0.2118 0.1306  2 Si 1.64-1.65
Si: 0.3462 0.1081 0.1110  4 O 1.60-1.66
Si: 0.2380 0.3462 0.8890  4 O 1.60-1.66
Si: 0.8919 0.2380 0.1110  4 O 1.60-1.66
O: 0.5127 0.6616 0.3256  1 Si 1.60
O: 0.5127 0.8510 0.8256  1 Si 1.60
O: 0.4873 0.1490 0.1744  1 Si 1.60
Si: 0.1081 0.3462 0.3890  4 O 1.60-1.66
Zr: 0.3333 0.6667 0.2500  6 O 2.19
Si: 0.8919 0.6538 0.3890  4 O 1.60-1.66
O: 0.9401 0.2118 0.6306  2 Si 1.64-1.65
O: 0.0599 0.7882 0.3694  2 Si 1.64-1.65
O: 0.7308 0.1307 0.5000  2 Si 1.66
O: 0.5127 0.6616 0.6744  1 Si 1.60
O: 0.2118 0.2717 0.3694  2 Si 1.64-1.65
Na: 0.3333 0.6667 0.0000  3 O 2.52
Si: 0.7620 0.1081 0.6110  4 O 1.60-1.66
O: 0.0599 0.2717 0.1306  2 Si 1.64-1.65